[1]
Entry from the Materials Project: a relaxed structure of Sr2VP2O9 (PBE with a Hubbard U).

V = 349.50 Å³/cell
space group = Cc
total DFT energy (no corrections) = -205.945 eV per cell

a = 6.833 Å, b = 7.073 Å, c = 8.822 Å
α = 76.39°, β = 77.53°, γ = 115.31°
Fractional coordinates of all 28 atoms:
O 0.038 0.788 0.418
O 0.983 0.516 0.727
O 0.403 0.639 0.049
P 0.586 0.835 0.328
O 0.349 0.620 0.449
V 0.996 0.476 0.507
O 0.253 0.217 0.785
O 0.653 0.378 0.553
Sr 0.375 0.625 0.752
O 0.705 0.930 0.447
O 0.538 0.002 0.215
Sr 0.792 0.040 0.917
O 0.792 0.756 0.726
P 0.413 0.163 0.672
P 0.172 0.421 0.156
O 0.956 0.207 0.582
Sr 0.209 0.957 0.083
O 0.596 0.361 0.951
O 0.048 0.312 0.049
O 0.298 0.069 0.551
O 0.211 0.243 0.273
V 0.003 0.983 0.493
Sr 0.627 0.377 0.248
O 0.952 0.688 0.951
O 0.018 0.482 0.274
O 0.746 0.783 0.214
O 0.460 0.997 0.786
P 0.828 0.577 0.844

[2]
Entry from the Materials Project: a relaxed structure of TiVP2O8 (PBE with a Hubbard U).

V = 456.56 Å³/cell
magnetic moment = 0.250 μB/atom
space group = R3
total DFT energy (no corrections) = -284.059 eV per cell

a = 8.605 Å, b = 8.605 Å, c = 8.605 Å
α = 60.59°, β = 60.59°, γ = 60.59°
Fractional coordinates of all 36 atoms:
O 0.739 0.942 0.090
O 0.118 0.315 0.497
O 0.816 0.617 0.998
V 0.501 0.501 0.501
Ti 0.355 0.355 0.355
P 0.457 0.043 0.749
O 0.990 0.187 0.391
Ti 0.645 0.645 0.645
V 0.142 0.142 0.142
O 0.617 0.998 0.816
O 0.090 0.739 0.942
O 0.508 0.885 0.679
O 0.444 0.238 0.587
P 0.956 0.250 0.543
V 0.999 0.999 0.999
O 0.679 0.508 0.885
O 0.497 0.118 0.315
O 0.761 0.413 0.565
O 0.187 0.391 0.990
P 0.043 0.749 0.457
O 0.998 0.816 0.617
O 0.413 0.565 0.761
O 0.391 0.990 0.187
P 0.250 0.543 0.956
O 0.587 0.444 0.238
O 0.904 0.263 0.055
O 0.565 0.761 0.413
O 0.942 0.090 0.739
O 0.315 0.497 0.118
P 0.543 0.956 0.250
P 0.749 0.457 0.043
O 0.238 0.587 0.444
O 0.885 0.679 0.508
O 0.263 0.055 0.904
Ti 0.856 0.856 0.856
O 0.055 0.904 0.263

[3]
Entry from the Materials Project: a relaxed structure of TiV5P6O24 (PBE with a Hubbard U).

V = 452.96 Å³/cell
magnetic moment = 0.306 μB/atom
space group = R3
total DFT energy (no corrections) = -277.436 eV per cell

a = 8.605 Å, b = 8.605 Å, c = 8.605 Å
α = 60.24°, β = 60.24°, γ = 60.24°
Fractional coordinates of all 36 atoms:
O 0.311 0.114 0.507
O 0.996 0.619 0.814
O 0.386 0.187 0.996
O 0.914 0.060 0.262
O 0.507 0.311 0.114
P 0.543 0.250 0.957
O 0.939 0.740 0.086
O 0.411 0.759 0.562
O 0.814 0.996 0.619
V 0.000 0.000 0.000
O 0.187 0.996 0.386
O 0.495 0.688 0.887
O 0.589 0.239 0.444
P 0.043 0.455 0.750
O 0.086 0.939 0.740
O 0.759 0.562 0.411
V 0.643 0.643 0.643
O 0.114 0.507 0.311
Ti 0.855 0.855 0.855
P 0.750 0.043 0.455
O 0.060 0.262 0.914
O 0.239 0.444 0.589
P 0.455 0.750 0.043
O 0.688 0.887 0.495
O 0.740 0.086 0.939
O 0.262 0.914 0.060
O 0.444 0.589 0.239
O 0.887 0.495 0.688
P 0.250 0.957 0.543
V 0.144 0.144 0.144
V 0.501 0.501 0.501
V 0.357 0.357 0.357
O 0.619 0.814 0.996
O 0.562 0.411 0.759
P 0.957 0.543 0.250
O 0.996 0.386 0.187

[4]
Entry from the Materials Project: a relaxed structure of Ti5VP6O24 (PBE with a Hubbard U).

V = 449.53 Å³/cell
magnetic moment = 0.139 μB/atom
space group = R3
total DFT energy (no corrections) = -286.287 eV per cell

a = 8.450 Å, b = 8.450 Å, c = 8.450 Å
α = 62.41°, β = 62.41°, γ = 62.41°
Fractional coordinates of all 36 atoms:
O 0.258 0.905 0.055
O 0.820 0.006 0.609
P 0.249 0.959 0.543
O 0.403 0.760 0.554
P 0.040 0.459 0.751
P 0.543 0.249 0.959
O 0.905 0.055 0.258
O 0.241 0.439 0.596
O 0.100 0.946 0.742
O 0.884 0.500 0.679
O 0.387 0.177 0.001
Ti 0.142 0.142 0.142
O 0.742 0.100 0.946
O 0.554 0.403 0.760
Ti 0.000 0.000 0.000
O 0.946 0.742 0.100
O 0.006 0.609 0.820
Ti 0.640 0.640 0.640
O 0.439 0.596 0.241
P 0.751 0.040 0.459
O 0.609 0.820 0.006
O 0.114 0.497 0.324
O 0.500 0.679 0.884
V 0.860 0.860 0.860
O 0.596 0.241 0.439
Ti 0.499 0.499 0.499
Ti 0.360 0.360 0.360
O 0.497 0.324 0.114
O 0.760 0.554 0.403
O 0.324 0.114 0.497
O 0.001 0.387 0.177
P 0.459 0.751 0.040
O 0.177 0.001 0.387
O 0.679 0.884 0.500
P 0.959 0.543 0.249
O 0.055 0.258 0.905

[5]
Entry from the Materials Project: a relaxed structure of TiVZnP3O12 (PBE with a Hubbard U).

V = 449.07 Å³/cell
magnetic moment = 0.111 μB/atom
space group = R3c
total DFT energy (no corrections) = -265.776 eV per cell

a = 8.566 Å, b = 8.566 Å, c = 8.566 Å
α = 60.46°, β = 60.46°, γ = 60.46°
Fractional coordinates of all 36 atoms:
Zn 0.998 0.998 0.998
O 0.187 0.380 0.002
O 0.880 0.687 0.502
O 0.002 0.187 0.380
V 0.357 0.357 0.357
O 0.612 0.006 0.814
P 0.956 0.251 0.545
P 0.251 0.545 0.956
O 0.502 0.880 0.687
O 0.091 0.740 0.937
O 0.687 0.502 0.880
O 0.314 0.506 0.112
O 0.740 0.937 0.091
O 0.112 0.314 0.506
Ti 0.145 0.145 0.145
P 0.545 0.956 0.251
O 0.554 0.759 0.415
O 0.006 0.814 0.612
O 0.814 0.612 0.006
O 0.437 0.240 0.591
P 0.751 0.456 0.045
O 0.054 0.915 0.259
O 0.259 0.054 0.915
Ti 0.645 0.645 0.645
O 0.915 0.259 0.054
Zn 0.498 0.498 0.498
O 0.415 0.554 0.759
O 0.591 0.437 0.240
V 0.857 0.857 0.857
O 0.937 0.091 0.740
P 0.456 0.045 0.751
O 0.380 0.002 0.187
P 0.045 0.751 0.456
O 0.506 0.112 0.314
O 0.240 0.591 0.437
O 0.759 0.415 0.554

[6]
Entry from the Materials Project: a relaxed structure of Ti3P6WO24 (PBE with a Hubbard U).

V = 474.01 Å³/cell
space group = R3
total DFT energy (no corrections) = -264.842 eV per cell

a = 8.855 Å, b = 8.855 Å, c = 8.855 Å
α = 58.50°, β = 58.50°, γ = 58.50°
Fractional coordinates of all 34 atoms:
O 0.639 0.782 0.000
O 0.276 0.138 0.508
Ti 0.360 0.360 0.360
O 0.508 0.276 0.138
O 0.000 0.639 0.782
O 0.138 0.508 0.276
O 0.497 0.720 0.862
O 0.935 0.713 0.076
O 0.421 0.785 0.566
O 0.782 0.000 0.639
O 0.566 0.421 0.785
O 0.062 0.288 0.924
O 0.288 0.924 0.062
P 0.256 0.967 0.529
W 0.859 0.859 0.859
O 0.076 0.935 0.713
O 0.218 0.996 0.365
P 0.749 0.035 0.462
O 0.576 0.214 0.442
Ti 0.141 0.141 0.141
O 0.720 0.862 0.497
O 0.442 0.576 0.214
O 0.214 0.442 0.576
P 0.462 0.749 0.035
P 0.967 0.529 0.256
O 0.713 0.076 0.935
P 0.035 0.462 0.749
O 0.924 0.062 0.288
O 0.365 0.218 0.996
Ti 0.641 0.641 0.641
O 0.996 0.365 0.218
O 0.785 0.566 0.421
P 0.529 0.256 0.967
O 0.862 0.497 0.720

[7]
Entry from the Materials Project: a relaxed structure of TiP3WO12 (PBE with a Hubbard U).

V = 479.95 Å³/cell
magnetic moment = 0.059 μB/atom
space group = R3c
total DFT energy (no corrections) = -261.581 eV per cell

a = 8.852 Å, b = 8.852 Å, c = 8.852 Å
α = 59.06°, β = 59.06°, γ = 59.06°
Fractional coordinates of all 34 atoms:
O 0.001 0.364 0.214
O 0.010 0.633 0.782
O 0.864 0.501 0.714
O 0.633 0.782 0.010
W 0.858 0.858 0.858
O 0.579 0.213 0.441
O 0.441 0.579 0.213
O 0.782 0.010 0.633
P 0.964 0.532 0.251
O 0.510 0.282 0.133
O 0.713 0.079 0.941
O 0.562 0.421 0.787
O 0.062 0.287 0.921
P 0.751 0.032 0.464
O 0.214 0.001 0.364
P 0.251 0.964 0.532
O 0.501 0.714 0.864
O 0.282 0.133 0.510
W 0.358 0.358 0.358
O 0.287 0.921 0.062
Ti 0.640 0.640 0.640
P 0.032 0.464 0.751
O 0.213 0.441 0.579
Ti 0.140 0.140 0.140
P 0.532 0.251 0.964
O 0.941 0.713 0.079
O 0.714 0.864 0.501
O 0.421 0.787 0.562
O 0.133 0.510 0.282
O 0.079 0.941 0.713
P 0.464 0.751 0.032
O 0.364 0.214 0.001
O 0.787 0.562 0.421
O 0.921 0.062 0.287

[8]
Entry from the Materials Project: a relaxed structure of TiZnP3WO12 (PBE with a Hubbard U).

V = 470.98 Å³/cell
magnetic moment = 0.167 μB/atom
space group = R3c
total DFT energy (no corrections) = -263.501 eV per cell

a = 8.702 Å, b = 8.702 Å, c = 8.702 Å
α = 60.48°, β = 60.48°, γ = 60.48°
Fractional coordinates of all 36 atoms:
O 0.754 0.552 0.418
Zn 0.002 0.002 0.002
W 0.858 0.858 0.858
O 0.603 0.235 0.433
O 0.735 0.103 0.933
O 0.433 0.603 0.235
O 0.918 0.052 0.254
P 0.448 0.759 0.041
P 0.948 0.541 0.259
P 0.541 0.259 0.948
O 0.193 0.002 0.377
W 0.358 0.358 0.358
P 0.041 0.448 0.759
O 0.331 0.094 0.502
O 0.377 0.193 0.002
O 0.094 0.502 0.331
O 0.103 0.933 0.735
O 0.502 0.693 0.877
O 0.552 0.418 0.754
O 0.933 0.735 0.103
O 0.002 0.594 0.831
O 0.877 0.502 0.693
O 0.254 0.918 0.052
Ti 0.647 0.647 0.647
O 0.693 0.877 0.502
O 0.594 0.831 0.002
O 0.418 0.754 0.552
Ti 0.147 0.147 0.147
P 0.759 0.041 0.448
O 0.052 0.254 0.918
O 0.235 0.433 0.603
Zn 0.502 0.502 0.502
O 0.831 0.002 0.594
O 0.002 0.377 0.193
O 0.502 0.331 0.094
P 0.259 0.948 0.541

[9]
Entry from the Materials Project: a relaxed structure of TlVPO6 (PBE with a Hubbard U).

V = 1195.31 Å³/cell
magnetic moment = 0.111 μB/atom
space group = Pbca
total DFT energy (no corrections) = -477.240 eV per cell

a = 6.827 Å, b = 9.693 Å, c = 18.063 Å
α = 90.00°, β = 90.00°, γ = 90.00°
Fractional coordinates of all 72 atoms:
V 0.024 0.046 0.242
O 0.731 0.996 0.966
V 0.476 0.546 0.242
Tl 0.272 0.303 0.401
O 0.641 0.734 0.441
O 0.231 0.996 0.534
O 0.530 0.881 0.273
O 0.966 0.050 0.348
O 0.030 0.881 0.227
O 0.034 0.550 0.152
Tl 0.728 0.697 0.599
O 0.769 0.496 0.966
P 0.299 0.398 0.600
O 0.269 0.004 0.034
Tl 0.272 0.197 0.901
O 0.892 0.879 0.854
O 0.221 0.899 0.775
V 0.976 0.546 0.258
P 0.299 0.102 0.100
P 0.701 0.602 0.400
P 0.701 0.898 0.900
O 0.530 0.619 0.773
O 0.534 0.950 0.848
V 0.524 0.454 0.758
P 0.799 0.102 0.400
Tl 0.772 0.303 0.099
O 0.892 0.621 0.354
O 0.359 0.266 0.559
O 0.641 0.766 0.941
O 0.231 0.504 0.034
O 0.470 0.381 0.227
O 0.466 0.450 0.652
O 0.779 0.101 0.225
O 0.108 0.379 0.646
O 0.769 0.004 0.466
Tl 0.228 0.803 0.401
O 0.392 0.621 0.146
Tl 0.228 0.697 0.901
V 0.024 0.454 0.742
O 0.141 0.766 0.559
O 0.608 0.121 0.354
O 0.108 0.121 0.146
O 0.359 0.234 0.059
O 0.534 0.550 0.348
O 0.779 0.399 0.725
O 0.221 0.601 0.275
O 0.279 0.399 0.775
P 0.201 0.898 0.600
O 0.034 0.950 0.652
O 0.731 0.504 0.466
O 0.966 0.450 0.848
O 0.970 0.381 0.273
O 0.721 0.601 0.225
O 0.859 0.266 0.941
O 0.721 0.899 0.725
O 0.279 0.101 0.275
Tl 0.728 0.803 0.099
O 0.030 0.619 0.727
O 0.970 0.119 0.773
O 0.608 0.379 0.854
V 0.976 0.954 0.758
P 0.201 0.602 0.100
O 0.141 0.734 0.059
O 0.269 0.496 0.534
O 0.859 0.234 0.441
V 0.476 0.954 0.742
O 0.470 0.119 0.727
O 0.466 0.050 0.152
O 0.392 0.879 0.646
P 0.799 0.398 0.900
Tl 0.772 0.197 0.599
V 0.524 0.046 0.258